[1]
Computed, not measured: a geometry-optimized MgIn2 structure at the meta-GGA r2SCAN level of DFT.

Cell and atoms, written as POSCAR:
```
MgIn2
1.0
5.168 0.000 0.000
0.000 1.764 8.019
0.000 -1.764 8.019
Mg In
2 4
Direct
0.000 0.000 0.000
0.000 0.330 0.330
0.000 0.666 0.666
0.500 0.216 0.216
0.500 0.549 0.549
0.500 0.884 0.884
```



[2]
Computed, not measured: a geometry-optimized MgIn2 structure at the meta-GGA r2SCAN level of DFT.

Cell and atoms, written as POSCAR:
```
MgIn2
1.0
4.803 -2.764 0.000
4.803 2.764 0.000
0.000 0.000 5.501
Mg In
2 4
Direct
0.192 0.808 0.750
0.808 0.192 0.250
0.139 0.528 0.250
0.472 0.861 0.250
0.528 0.139 0.750
0.861 0.472 0.750
```



[3]
Computed, not measured: a geometry-optimized MgIn2 structure at the meta-GGA r2SCAN level of DFT.

Cell and atoms, written as POSCAR:
```
MgIn2
1.0
5.451 -1.630 0.000
5.451 1.630 0.000
-3.535 0.000 8.116
Mg In
2 4
Direct
0.000 0.000 0.249
0.000 0.000 0.751
0.336 0.336 0.917
0.338 0.338 0.419
0.662 0.662 0.581
0.664 0.664 0.083
```



[4]
Computed, not measured: a geometry-optimized MgIn3 structure at the meta-GGA r2SCAN level of DFT.

Cell and atoms, written as POSCAR:
```
MgIn3
1.0
-2.279 2.279 4.690
2.279 -2.279 4.690
2.279 2.279 -4.690
Mg In
1 3
Direct
0.000 0.000 0.000
0.250 0.750 0.500
0.500 0.500 0.000
0.750 0.250 0.500
```



[5]
Computed, not measured: a geometry-optimized Mg2InN2 structure at the meta-GGA r2SCAN level of DFT.

Cell and atoms, written as POSCAR:
```
Mg2InN2
1.0
3.552 0.000 0.000
-1.776 3.076 0.000
0.000 0.000 6.258
Mg In N
2 1 2
Direct
0.333 0.667 0.353
0.667 0.333 0.647
0.000 0.000 0.000
0.333 0.667 0.712
0.667 0.333 0.288
```



[6]
Computed, not measured: a geometry-optimized Nd2MgIn structure at the meta-GGA r2SCAN level of DFT.

Cell and atoms, written as POSCAR:
```
Nd2MgIn
1.0
0.000 3.873 3.873
3.873 0.000 3.873
3.873 3.873 0.000
Nd Mg In
2 1 1
Direct
0.250 0.250 0.250
0.750 0.750 0.750
0.000 0.000 0.000
0.500 0.500 0.500
```



[7]
Computed, not measured: a geometry-optimized NdMgIn structure at the meta-GGA r2SCAN level of DFT.

Cell and atoms, written as POSCAR:
```
NdMgIn
1.0
7.695 0.000 0.000
-3.848 6.664 0.000
0.000 0.000 4.764
Nd Mg In
3 3 3
Direct
0.000 0.570 0.000
0.430 0.430 0.000
0.570 0.000 0.000
0.000 0.241 0.500
0.241 0.000 0.500
0.759 0.759 0.500
0.000 0.000 0.000
0.333 0.667 0.500
0.667 0.333 0.500
```



[8]
Computed, not measured: a geometry-optimized MgInPd2 structure at the meta-GGA r2SCAN level of DFT.

Cell and atoms, written as POSCAR:
```
MgInPd2
1.0
0.000 3.217 3.217
3.217 0.000 3.217
3.217 3.217 0.000
Mg In Pd
1 1 2
Direct
0.000 0.000 0.000
0.500 0.500 0.500
0.250 0.250 0.250
0.750 0.750 0.750
```



no.,energy relative to the elements (eV per atom)
1,-0.039
2,-0.055
3,-0.071
4,-0.062
5,-0.235
6,-0.411
7,-0.532
8,-0.693